# 1
A plane-wave DFT calculation with meta-GGA r2SCAN was carried out for a relaxed EuMn2O5 crystal.

Properties
ΔH_f (0 K) in kJ/mol of formula units: -1942.0
E in eV for the cell shown: -471.51
Crystal system: orthorhombic
Volume in A^3/atom: 11.32
Total magnetic moment in μB per cell: 52.000

Cell lengths 7.3851, 8.5579, 5.7300 Å; angles 90.00, 90.00, 90.00 degrees
With the nearest neighbours (Å) after each atom.
Space group Pbam (No. 55)
Unique sites:
Eu 0.1391 0.1709 0.0000  8 O 2.37-2.53
Mn 0.0000 0.5000 0.2547  6 O 1.90-1.92
Mn 0.0952 0.8518 0.5000  5 O 1.89-1.97
O 0.0000 0.0000 0.2821  2 Mn 1.91
O 0.1026 0.7059 0.2529  2 Mn 1.89-1.92
O 0.1546 0.4325 0.5000  3 Mn 1.90-1.97
O 0.1575 0.4475 0.0000  2 Mn 1.92

---

# 2
A plane-wave DFT calculation with meta-GGA r2SCAN was carried out for a relaxed Eu2Mo2O7 crystal.

Properties
ΔH_f (0 K) in kJ/mol of formula units: -2856.1
E in eV for the cell shown: -1604.76
Crystal system: cubic
Volume in A^3/atom: 13.04
Total magnetic moment in μB per cell: 81.052

Cell lengths 10.4687, 10.4687, 10.4687 Å; angles 90.00, 90.00, 90.00 degrees
With the nearest neighbours (Å) after each atom.
Space group Fd-3m (No. 227, origin choice 2)
Unique sites:
Eu 0.0000 0.0000 0.0000  2 O 2.27
Mo 0.0000 0.0000 0.5000  6 O 1.99
O 0.0700 0.3750 0.8750  2 Mo 1.99
O 0.1250 0.1250 0.1250  4 Eu 2.27

---

# 3
A plane-wave DFT calculation with meta-GGA r2SCAN was carried out for a relaxed EuN crystal.

Properties
ΔH_f (0 K) in kJ/mol of formula units: -202.5
E in eV for the cell shown: -198.99
Crystal system: cubic
Volume in A^3/atom: 16.28
Total magnetic moment in μB per cell: 24.000

Cell lengths 5.0694, 5.0694, 5.0694 Å; angles 90.00, 90.00, 90.00 degrees
With the nearest neighbours (Å) after each atom.
Space group Fm-3m (No. 225)
Unique sites:
Eu 0.0000 0.0000 0.0000  6 N 2.53
N 0.0000 0.0000 0.5000  6 Eu 2.53

---

# 4
A plane-wave DFT calculation with meta-GGA r2SCAN was carried out for a relaxed Eu2N crystal.

Properties
ΔH_f (0 K) in kJ/mol of formula units: -262.6
E in eV for the cell shown: -1422.27
Crystal system: cubic
Volume in A^3/atom: 24.14
Total magnetic moment in μB per cell: 239.152

Cell lengths 10.5038, 10.5038, 10.5038 Å; angles 90.00, 90.00, 90.00 degrees
With the nearest neighbours (Å) after each atom.
Space group Fd-3m (No. 227, origin choice 2)
Unique sites:
Eu 0.0092 0.0092 0.2408  3 N 2.53
N 0.0000 0.0000 0.0000  6 Eu 2.53

---

# 5
A plane-wave DFT calculation with meta-GGA r2SCAN was carried out for a relaxed Eu2SiN3 crystal.

Properties
ΔH_f (0 K) in kJ/mol of formula units: -831.9
E in eV for the cell shown: -974.59
Crystal system: orthorhombic
Volume in A^3/atom: 14.02
Total magnetic moment in μB per cell: 104.000

Cell lengths 5.4249, 10.6224, 11.6776 Å; angles 90.00, 90.00, 90.00 degrees
With the nearest neighbours (Å) after each atom.
Space group Cmce (No. 64)
Unique sites:
Eu 0.0000 0.0520 0.1440  5 N 2.49-2.73
Eu 0.0000 0.1407 0.5754  7 N 2.46-2.74
Si 0.0000 0.2435 0.3349  4 N 1.73-1.76
N 0.0000 0.0817 0.3662  1 Si 1.76
N 0.0000 0.1583 0.9544  1 Si 1.74
N 0.2500 0.2196 0.7500  2 Si 1.73

---

# 6
A plane-wave DFT calculation with meta-GGA r2SCAN was carried out for a relaxed Na10EuSn12 crystal.

Properties
ΔH_f (0 K) in kJ/mol of formula units: -755.0
E in eV for the cell shown: -757.88
Crystal system: cubic
Volume in A^3/atom: 30.74
Total magnetic moment in μB per cell: 14.000

Cell lengths 11.2239, 11.2239, 11.2239 Å; angles 90.00, 90.00, 90.00 degrees
With the nearest neighbours (Å) after each atom.
Space group I-43m (No. 217)
Unique sites:
Na 0.0000 0.2500 0.5000  4 Sn 3.22
Na 0.1947 0.1947 0.1947  9 Sn 3.41-3.54, 1 Eu 3.79
Eu 0.0000 0.0000 0.0000  12 Sn 3.45, 4 Na 3.79
Sn 0.0914 0.0914 0.7207  3 Sn 2.90-2.98, 2 Na 3.22